(1)
Compound: KFeBr4
Source: the Materials Project
Functional: PBE
Structure: relaxed

Cell: 7.8430 10.4705 10.5261 Å, 90.00 90.00 90.00°
Closest atoms and distances in Å follow each position.
Sites, in units of the cell vectors:
K: 0.3209 0.2500 0.2500  8 Br 3.47-3.52
K: 0.6791 0.7500 0.7500  8 Br 3.47-3.52
K: 0.1791 0.7500 0.2500  8 Br 3.47-3.52
K: 0.8209 0.2500 0.7500  8 Br 3.47-3.52
Fe: 0.2500 0.0000 0.6792  4 Br 2.36-2.37
Fe: 0.7500 0.0000 0.3208  4 Br 2.36-2.37
Fe: 0.2500 0.5000 0.8208  4 Br 2.36-2.37
Fe: 0.7500 0.5000 0.1792  4 Br 2.36-2.37
Br: 0.1630 0.1753 0.5546  1 Fe 2.36
Br: 0.8370 0.8247 0.4454  1 Fe 2.36
Br: 0.3370 0.8247 0.5546  1 Fe 2.36
Br: 0.3370 0.6753 0.9454  1 Fe 2.36
Br: 0.6630 0.1753 0.4454  1 Fe 2.36
Br: 0.6630 0.3247 0.0546  1 Fe 2.36
Br: 0.1630 0.3247 0.9454  1 Fe 2.36
Br: 0.8370 0.6753 0.0546  1 Fe 2.36
Br: 0.9859 0.0436 0.1864  1 Fe 2.37
Br: 0.0141 0.9564 0.8136  1 Fe 2.37
Br: 0.5141 0.9564 0.1864  1 Fe 2.37
Br: 0.5141 0.5436 0.3136  1 Fe 2.37
Br: 0.4859 0.0436 0.8136  1 Fe 2.37
Br: 0.4859 0.4564 0.6864  1 Fe 2.37
Br: 0.9859 0.4564 0.3136  1 Fe 2.37
Br: 0.0141 0.5436 0.6864  1 Fe 2.37

Values from the calculation:
- E_form (eV/f.u.) = -7.92
- E (MP2020) (Ry/atom) = -0.29459
- DFT total energy (eV/atom) = -3.65

=====

(2)
Compound: FeBr2N2
Source: the Materials Project
Functional: PBE
Structure: relaxed

Cell: 3.5279 4.0791 11.9899 Å, 90.00 90.00 90.00°
Closest atoms and distances in Å follow each position.
Sites, in units of the cell vectors:
Fe: 0.0000 0.0000 0.5000  2 N 1.70
Fe: 0.0000 0.5000 0.0000  2 N 1.70
Br: 0.5000 0.7326 0.3884  2 Fe 2.47, 2 N 2.56
Br: 0.5000 0.2674 0.6116  2 Fe 2.47, 2 N 2.56
Br: 0.5000 0.7674 0.8884  2 Fe 2.47, 2 N 2.56
Br: 0.5000 0.2326 0.1116  2 Fe 2.47, 2 N 2.56
N: 0.0000 0.7217 0.6061  1 Fe 1.70
N: 0.0000 0.2783 0.3939  1 Fe 1.70
N: 0.0000 0.7783 0.1061  1 Fe 1.70
N: 0.0000 0.2217 0.8939  1 Fe 1.70

Values from the calculation:
- E_form (eV/f.u.) = 4.92
- E (MP2020) (Ry/atom) = -0.34544
- DFT total energy (eV/atom) = -4.56

=====

(3)
Compound: FeS4Br4N5
Source: the Materials Project
Functional: PBE
Structure: relaxed

Cell: 10.0518 10.0518 12.0501 Å, 89.01 89.01 138.40°
Closest atoms and distances in Å follow each position.
Sites, in units of the cell vectors:
Fe: 0.9288 0.5610 0.8031  3 Br 2.29-2.30
Fe: 0.5610 0.9288 0.3031  3 Br 2.29-2.30
S: 0.2555 0.3597 0.1134  2 N 1.63
S: 0.3597 0.2555 0.6134  2 N 1.63
S: 0.5970 0.4633 0.0943  2 N 1.62-1.63
S: 0.4633 0.5970 0.5943  2 N 1.62-1.63
S: 0.3606 0.2815 0.2871  2 N 1.63
S: 0.2815 0.3606 0.7871  2 N 1.63
S: 0.2197 0.0612 0.1003  2 N 1.63
S: 0.0612 0.2197 0.6003  2 N 1.63
Br: 0.1684 0.6344 0.9039  1 Fe 2.30
Br: 0.6344 0.1684 0.4039  1 Fe 2.30
Br: 0.0914 0.6727 0.5927  1 N 1.79
Br: 0.6727 0.0914 0.0927  1 N 1.79
Br: 0.6399 0.2218 0.7917  1 Fe 2.30
Br: 0.2218 0.6399 0.2917  1 Fe 2.30
Br: 0.8996 0.7638 0.8282  1 Fe 2.29
Br: 0.7638 0.8996 0.3282  1 Fe 2.29
N: 0.6970 0.9821 0.9908  1 Br 1.79
N: 0.9821 0.6970 0.4908  1 Br 1.79
N: 0.4847 0.5181 0.0625  2 S 1.63
N: 0.5181 0.4847 0.5625  2 S 1.63
N: 0.5851 0.4412 0.2290  2 S 1.62-1.63
N: 0.4412 0.5851 0.7290  2 S 1.62-1.63
N: 0.2321 0.0659 0.2348  2 S 1.63
N: 0.0659 0.2321 0.7348  2 S 1.63
N: 0.1308 0.1409 0.0681  2 S 1.63
N: 0.1409 0.1308 0.5681  2 S 1.63

Values from the calculation:
- E_form (eV/f.u.) = 4.68
- E (MP2020) (Ry/atom) = -0.35995
- offset from the most stable computed form (eV/atom) = 0.000
- DFT total energy (eV/atom) = -4.77

=====

(4)
Compound: FeS4Br4N5
Source: the Materials Project
Functional: PBE
Structure: relaxed

Cell: 9.7079 9.7079 12.5778 Å, 89.72 89.72 140.02°
Closest atoms and distances in Å follow each position.
Sites, in units of the cell vectors:
Fe: 0.9501 0.5477 0.8051  4 Br 2.29-2.30
Fe: 0.5477 0.9501 0.3051  4 Br 2.29-2.30
S: 0.2600 0.3736 0.1078  2 N 1.63
S: 0.3736 0.2600 0.6078  2 N 1.63
S: 0.6109 0.4741 0.0956  2 N 1.63
S: 0.4741 0.6109 0.5956  2 N 1.63
S: 0.3641 0.3001 0.2772  2 N 1.62-1.63
S: 0.3001 0.3641 0.7772  2 N 1.62-1.63
S: 0.2143 0.0587 0.0981  2 N 1.63
S: 0.0587 0.2143 0.5981  2 N 1.63
Br: 0.1413 0.5877 0.9363  1 Fe 2.29
Br: 0.5877 0.1413 0.4363  1 Fe 2.29
Br: 0.1067 0.6386 0.6405  1 Fe 2.30
Br: 0.6386 0.1067 0.1405  1 Fe 2.30
Br: 0.6085 0.1986 0.8121  1 Fe 2.29
Br: 0.1986 0.6085 0.3121  1 Fe 2.29
Br: 0.9339 0.7692 0.8335  1 Fe 2.30
Br: 0.7692 0.9339 0.3335  1 Fe 2.30
N: 0.7196 0.9459 0.9148  4 N 3.18-3.34
N: 0.9459 0.7196 0.4148  4 N 3.18-3.34
N: 0.5023 0.5366 0.0614  2 S 1.63
N: 0.5366 0.5023 0.5614  2 S 1.63
N: 0.6025 0.4648 0.2255  2 S 1.62-1.63
N: 0.4648 0.6025 0.7255  2 S 1.62-1.63
N: 0.2221 0.0668 0.2278  2 S 1.63
N: 0.0668 0.2221 0.7278  2 S 1.63
N: 0.1213 0.1379 0.0640  2 S 1.63
N: 0.1379 0.1213 0.5640  2 S 1.63

Values from the calculation:
- E_form (eV/f.u.) = 6.20
- E (MP2020) (Ry/atom) = -0.35201
- offset from the most stable computed form (eV/atom) = 0.108
- DFT total energy (eV/atom) = -4.66